Record 1
{
  "formula": "Er3Al12Os4",
  "functional": "r²SCAN",
  "state": "optimized geometry",
  "lattice": [[8.7536, 0.0000, 0.0000], [-4.3768, 7.5808, 0.0000], [0.0000, 0.0000, 9.4819]],
  "species": ["Er", "Er", "Er", "Er", "Er", "Er", "Al", "Al", "Al", "Al", "Al", "Al", "Al", "Al", "Al", "Al", "Al", "Al", "Al", "Al", "Al", "Al", "Al", "Al", "Al", "Al", "Al", "Al", "Al", "Al", "Os", "Os", "Os", "Os", "Os", "Os", "Os", "Os"],
  "fractional_positions": [[0.1937, 0.3873, 0.2500], [0.1937, 0.8063, 0.2500], [0.3873, 0.1937, 0.7500], [0.6127, 0.8063, 0.2500], [0.8063, 0.1937, 0.7500], [0.8063, 0.6127, 0.7500], [0.0000, 0.0000, 0.2500], [0.0000, 0.0000, 0.7500], [0.1220, 0.5610, 0.7500], [0.1631, 0.3262, 0.5755], [0.1631, 0.3262, 0.9245], [0.1631, 0.8369, 0.5755], [0.1631, 0.8369, 0.9245], [0.3262, 0.1631, 0.0755], [0.3262, 0.1631, 0.4245], [0.3333, 0.6667, 0.0128], [0.3333, 0.6667, 0.4872], [0.4390, 0.5610, 0.7500], [0.4390, 0.8780, 0.7500], [0.5610, 0.1220, 0.2500], [0.5610, 0.4390, 0.2500], [0.6667, 0.3333, 0.5128], [0.6667, 0.3333, 0.9872], [0.6738, 0.8369, 0.5755], [0.6738, 0.8369, 0.9245], [0.8369, 0.1631, 0.0755], [0.8369, 0.1631, 0.4245], [0.8369, 0.6738, 0.0755], [0.8369, 0.6738, 0.4245], [0.8780, 0.4390, 0.2500], [0.0000, 0.0000, 0.0000], [0.0000, 0.0000, 0.5000], [0.0000, 0.5000, 0.0000], [0.0000, 0.5000, 0.5000], [0.5000, 0.0000, 0.0000], [0.5000, 0.0000, 0.5000], [0.5000, 0.5000, 0.0000], [0.5000, 0.5000, 0.5000]]
}


Record 2
{
  "formula": "Er4Al24Pt9",
  "functional": "r²SCAN",
  "state": "optimized geometry",
  "lattice": [[7.4694, 0.0000, 0.0000], [3.7223, 6.4784, 0.0000], [1.2426, 2.1422, 12.8202]],
  "species": ["Er", "Er", "Er", "Er", "Al", "Al", "Al", "Al", "Al", "Al", "Al", "Al", "Al", "Al", "Al", "Al", "Al", "Al", "Al", "Al", "Al", "Al", "Al", "Al", "Al", "Al", "Al", "Al", "Pt", "Pt", "Pt", "Pt", "Pt", "Pt", "Pt", "Pt", "Pt"],
  "fractional_positions": [[0.0011, 0.2327, 0.3078], [0.3318, 0.5624, 0.3078], [0.6682, 0.4376, 0.6922], [0.9989, 0.7673, 0.6922], [0.9995, 0.1479, 0.5553], [0.0005, 0.8521, 0.4447], [0.0006, 0.6859, 0.9410], [0.0065, 0.0563, 0.8285], [0.1309, 0.3078, 0.6844], [0.3325, 0.1828, 0.4536], [0.3325, 0.0208, 0.9386], [0.3333, 0.6469, 0.0590], [0.3337, 0.4821, 0.5552], [0.3346, 0.3828, 0.8288], [0.3361, 0.8979, 0.6831], [0.3399, 0.2698, 0.1699], [0.4581, 0.8970, 0.3164], [0.5419, 0.1030, 0.6836], [0.6601, 0.7302, 0.8301], [0.6639, 0.1021, 0.3169], [0.6654, 0.6172, 0.1712], [0.6663, 0.5179, 0.4448], [0.6667, 0.3531, 0.9410], [0.6675, 0.9792, 0.0614], [0.6675, 0.8172, 0.5464], [0.8691, 0.6922, 0.3156], [0.9935, 0.9437, 0.1715], [0.9994, 0.3141, 0.0590], [0.0000, 0.5000, 0.5000], [0.0083, 0.6120, 0.1391], [0.3249, 0.9542, 0.1377], [0.3283, 0.8283, 0.4999], [0.3334, 0.7044, 0.8609], [0.6666, 0.2956, 0.1391], [0.6717, 0.1717, 0.5001], [0.6751, 0.0458, 0.8623], [0.9917, 0.3880, 0.8609]]
}


Record 3
{
  "formula": "Er3Al12Ru4",
  "functional": "r²SCAN",
  "state": "optimized geometry",
  "lattice": [[8.7368, 0.0000, 0.0000], [-4.3684, 7.5663, 0.0000], [0.0000, 0.0000, 9.4628]],
  "species": ["Er", "Er", "Er", "Er", "Er", "Er", "Al", "Al", "Al", "Al", "Al", "Al", "Al", "Al", "Al", "Al", "Al", "Al", "Al", "Al", "Al", "Al", "Al", "Al", "Al", "Al", "Al", "Al", "Al", "Al", "Ru", "Ru", "Ru", "Ru", "Ru", "Ru", "Ru", "Ru"],
  "fractional_positions": [[0.1933, 0.3867, 0.2500], [0.1933, 0.8067, 0.2500], [0.3867, 0.1933, 0.7500], [0.6133, 0.8067, 0.2500], [0.8067, 0.1933, 0.7500], [0.8067, 0.6133, 0.7500], [0.0000, 0.0000, 0.2500], [0.0000, 0.0000, 0.7500], [0.1215, 0.5607, 0.7500], [0.1623, 0.3246, 0.5771], [0.1623, 0.3246, 0.9229], [0.1623, 0.8377, 0.5771], [0.1623, 0.8377, 0.9229], [0.3246, 0.1623, 0.0771], [0.3246, 0.1623, 0.4229], [0.3333, 0.6667, 0.0098], [0.3333, 0.6667, 0.4902], [0.4393, 0.5607, 0.7500], [0.4393, 0.8785, 0.7500], [0.5607, 0.1215, 0.2500], [0.5607, 0.4393, 0.2500], [0.6667, 0.3333, 0.5098], [0.6667, 0.3333, 0.9902], [0.6754, 0.8377, 0.5771], [0.6754, 0.8377, 0.9229], [0.8377, 0.1623, 0.0771], [0.8377, 0.1623, 0.4229], [0.8377, 0.6754, 0.0771], [0.8377, 0.6754, 0.4229], [0.8785, 0.4393, 0.2500], [0.0000, 0.0000, 0.0000], [0.0000, 0.0000, 0.5000], [0.0000, 0.5000, 0.0000], [0.0000, 0.5000, 0.5000], [0.5000, 0.0000, 0.0000], [0.5000, 0.0000, 0.5000], [0.5000, 0.5000, 0.0000], [0.5000, 0.5000, 0.5000]]
}


Record 4
{
  "formula": "ErAl10Ru2",
  "functional": "r²SCAN",
  "state": "optimized geometry",
  "lattice": [[4.5043, -5.0889, 0.0000], [4.5043, 5.0889, 0.0000], [0.0000, 0.0000, 9.0564]],
  "species": ["Er", "Er", "Al", "Al", "Al", "Al", "Al", "Al", "Al", "Al", "Al", "Al", "Al", "Al", "Al", "Al", "Al", "Al", "Al", "Al", "Al", "Al", "Ru", "Ru", "Ru", "Ru"],
  "fractional_positions": [[0.1278, 0.8722, 0.7500], [0.8722, 0.1278, 0.2500], [0.1405, 0.4118, 0.7500], [0.1568, 0.8432, 0.1002], [0.1568, 0.8432, 0.3998], [0.2194, 0.4804, 0.2500], [0.2264, 0.2264, 0.0000], [0.2264, 0.2264, 0.5000], [0.3764, 0.6236, 0.5498], [0.3764, 0.6236, 0.9502], [0.4118, 0.1405, 0.2500], [0.4804, 0.2194, 0.7500], [0.5196, 0.7806, 0.2500], [0.5882, 0.8595, 0.7500], [0.6236, 0.3764, 0.0498], [0.6236, 0.3764, 0.4502], [0.7736, 0.7736, 0.0000], [0.7736, 0.7736, 0.5000], [0.7806, 0.5196, 0.7500], [0.8432, 0.1568, 0.6002], [0.8432, 0.1568, 0.8998], [0.8595, 0.5882, 0.2500], [0.0000, 0.5000, 0.0000], [0.0000, 0.5000, 0.5000], [0.5000, 0.0000, 0.0000], [0.5000, 0.0000, 0.5000]]
}


Record 5
{
  "formula": "Er2AlSi2",
  "functional": "r²SCAN",
  "state": "optimized geometry",
  "lattice": [[-2.0262, 2.8100, 4.3018], [2.0262, -2.8100, 4.3018], [2.0262, 2.8100, -4.3018]],
  "species": ["Er", "Er", "Al", "Si", "Si"],
  "fractional_positions": [[0.2107, 0.2107, 0.0000], [0.7893, 0.7893, 0.0000], [0.5000, 0.0000, 0.5000], [0.2105, 0.5000, 0.7105], [0.7895, 0.5000, 0.2895]]
}


Record 6
{
  "formula": "Er6Ta4Al43",
  "functional": "r²SCAN",
  "state": "optimized geometry",
  "lattice": [[10.9998, 0.0000, 0.0000], [-5.4999, 9.5261, 0.0000], [0.0000, 0.0000, 17.6946]],
  "species": ["Er", "Er", "Er", "Er", "Er", "Er", "Er", "Er", "Er", "Er", "Er", "Er", "Ta", "Ta", "Ta", "Ta", "Ta", "Ta", "Ta", "Ta", "Al", "Al", "Al", "Al", "Al", "Al", "Al", "Al", "Al", "Al", "Al", "Al", "Al", "Al", "Al", "Al", "Al", "Al", "Al", "Al", "Al", "Al", "Al", "Al", "Al", "Al", "Al", "Al", "Al", "Al", "Al", "Al", "Al", "Al", "Al", "Al", "Al", "Al", "Al", "Al", "Al", "Al", "Al", "Al", "Al", "Al", "Al", "Al", "Al", "Al", "Al", "Al", "Al", "Al", "Al", "Al", "Al", "Al", "Al", "Al", "Al", "Al", "Al", "Al", "Al", "Al", "Al", "Al", "Al", "Al", "Al", "Al", "Al", "Al", "Al", "Al", "Al", "Al", "Al", "Al", "Al", "Al", "Al", "Al", "Al", "Al"],
  "fractional_positions": [[0.0000, 0.4687, 0.0965], [0.0000, 0.4687, 0.4035], [0.0000, 0.5313, 0.5965], [0.0000, 0.5313, 0.9035], [0.4687, 0.0000, 0.0965], [0.4687, 0.0000, 0.4035], [0.4687, 0.4687, 0.5965], [0.4687, 0.4687, 0.9035], [0.5313, 0.0000, 0.5965], [0.5313, 0.0000, 0.9035], [0.5313, 0.5313, 0.0965], [0.5313, 0.5313, 0.4035], [0.0000, 0.0000, 0.0000], [0.0000, 0.0000, 0.5000], [0.0000, 0.2742, 0.2500], [0.0000, 0.7258, 0.7500], [0.2742, 0.0000, 0.2500], [0.2742, 0.2742, 0.7500], [0.7258, 0.0000, 0.7500], [0.7258, 0.7258, 0.2500], [0.0000, 0.1484, 0.7500], [0.0000, 0.1593, 0.1152], [0.0000, 0.1593, 0.3848], [0.0000, 0.2556, 0.5295], [0.0000, 0.2556, 0.9705], [0.0000, 0.7444, 0.0295], [0.0000, 0.7444, 0.4705], [0.0000, 0.8407, 0.6152], [0.0000, 0.8407, 0.8848], [0.0000, 0.8516, 0.2500], [0.1484, 0.0000, 0.7500], [0.1484, 0.1484, 0.2500], [0.1532, 0.5564, 0.2500], [0.1532, 0.5968, 0.7500], [0.1582, 0.3951, 0.6622], [0.1582, 0.3951, 0.8378], [0.1582, 0.7631, 0.1622], [0.1582, 0.7631, 0.3378], [0.1593, 0.0000, 0.1152], [0.1593, 0.0000, 0.3848], [0.1593, 0.1593, 0.6152], [0.1593, 0.1593, 0.8848], [0.2369, 0.3951, 0.1622], [0.2369, 0.3951, 0.3378], [0.2369, 0.8418, 0.6622], [0.2369, 0.8418, 0.8378], [0.2474, 0.4947, 0.0000], [0.2474, 0.4947, 0.5000], [0.2474, 0.7526, 0.0000], [0.2474, 0.7526, 0.5000], [0.2556, 0.0000, 0.5295], [0.2556, 0.0000, 0.9705], [0.2556, 0.2556, 0.0295], [0.2556, 0.2556, 0.4705], [0.3333, 0.6667, 0.1245], [0.3333, 0.6667, 0.3755], [0.3333, 0.6667, 0.6245], [0.3333, 0.6667, 0.8755], [0.3951, 0.1582, 0.6622], [0.3951, 0.1582, 0.8378], [0.3951, 0.2369, 0.1622], [0.3951, 0.2369, 0.3378], [0.4032, 0.5564, 0.7500], [0.4032, 0.8468, 0.2500], [0.4436, 0.5968, 0.2500], [0.4436, 0.8468, 0.7500], [0.4947, 0.2474, 0.0000], [0.4947, 0.2474, 0.5000], [0.5053, 0.7526, 0.0000], [0.5053, 0.7526, 0.5000], [0.5564, 0.1532, 0.2500], [0.5564, 0.4032, 0.7500], [0.5968, 0.1532, 0.7500], [0.5968, 0.4436, 0.2500], [0.6049, 0.7631, 0.6622], [0.6049, 0.7631, 0.8378], [0.6049, 0.8418, 0.1622], [0.6049, 0.8418, 0.3378], [0.6667, 0.3333, 0.1245], [0.6667, 0.3333, 0.3755], [0.6667, 0.3333, 0.6245], [0.6667, 0.3333, 0.8755], [0.7444, 0.0000, 0.0295], [0.7444, 0.0000, 0.4705], [0.7444, 0.7444, 0.5295], [0.7444, 0.7444, 0.9705], [0.7526, 0.2474, 0.0000], [0.7526, 0.2474, 0.5000], [0.7526, 0.5053, 0.0000], [0.7526, 0.5053, 0.5000], [0.7631, 0.1582, 0.1622], [0.7631, 0.1582, 0.3378], [0.7631, 0.6049, 0.6622], [0.7631, 0.6049, 0.8378], [0.8407, 0.0000, 0.6152], [0.8407, 0.0000, 0.8848], [0.8407, 0.8407, 0.1152], [0.8407, 0.8407, 0.3848], [0.8418, 0.2369, 0.6622], [0.8418, 0.2369, 0.8378], [0.8418, 0.6049, 0.1622], [0.8418, 0.6049, 0.3378], [0.8468, 0.4032, 0.2500], [0.8468, 0.4436, 0.7500], [0.8516, 0.0000, 0.2500], [0.8516, 0.8516, 0.7500]]
}


Record 7
{
  "formula": "YErAl2",
  "functional": "r²SCAN",
  "state": "optimized geometry",
  "lattice": [[0.0000, 3.5770, 3.5770], [3.5770, 0.0000, 3.5770], [3.5770, 3.5770, 0.0000]],
  "species": ["Y", "Er", "Al", "Al"],
  "fractional_positions": [[0.0000, 0.0000, 0.0000], [0.5000, 0.5000, 0.5000], [0.2500, 0.2500, 0.2500], [0.7500, 0.7500, 0.7500]]
}


Record 8
{
  "formula": "YErAl4",
  "functional": "r²SCAN",
  "state": "optimized geometry",
  "lattice": [[0.0000, 3.9063, 3.9063], [3.9063, 0.0000, 3.9063], [3.9063, 3.9063, 0.0000]],
  "species": ["Y", "Er", "Al", "Al", "Al", "Al"],
  "fractional_positions": [[0.0000, 0.0000, 0.0000], [0.7500, 0.7500, 0.7500], [0.3751, 0.3751, 0.3751], [0.3751, 0.3751, 0.8747], [0.3751, 0.8747, 0.3751], [0.8747, 0.3751, 0.3751]]
}


Record 9
{
  "formula": "Er2AlZn",
  "functional": "r²SCAN",
  "state": "optimized geometry",
  "lattice": [[0.0000, 3.5334, 3.5334], [3.5334, 0.0000, 3.5334], [3.5334, 3.5334, 0.0000]],
  "species": ["Er", "Er", "Al", "Zn"],
  "fractional_positions": [[0.2500, 0.2500, 0.2500], [0.7500, 0.7500, 0.7500], [0.0000, 0.0000, 0.0000], [0.5000, 0.5000, 0.5000]]
}


Record 10
{
  "formula": "EuAl4",
  "functional": "r²SCAN",
  "state": "optimized geometry",
  "lattice": [[-2.1679, 2.1679, 5.5960], [2.1679, -2.1679, 5.5960], [2.1679, 2.1679, -5.5960]],
  "species": ["Eu", "Al", "Al", "Al", "Al"],
  "fractional_positions": [[0.0000, 0.0000, 0.0000], [0.2500, 0.7500, 0.5000], [0.3858, 0.3858, 0.0000], [0.6142, 0.6142, 0.0000], [0.7500, 0.2500, 0.5000]]
}


Record 11
{
  "formula": "EuAl8Fe4",
  "functional": "r²SCAN",
  "state": "optimized geometry",
  "lattice": [[-4.4110, 4.4110, 2.5021], [4.4110, -4.4110, 2.5021], [4.4110, 4.4110, -2.5021]],
  "species": ["Eu", "Al", "Al", "Al", "Al", "Al", "Al", "Al", "Al", "Fe", "Fe", "Fe", "Fe"],
  "fractional_positions": [[0.0000, 0.0000, 0.0000], [0.0000, 0.3418, 0.3418], [0.0000, 0.6582, 0.6582], [0.2728, 0.5000, 0.7728], [0.3418, 0.0000, 0.3418], [0.5000, 0.2728, 0.7728], [0.5000, 0.7272, 0.2272], [0.6582, 0.0000, 0.6582], [0.7272, 0.5000, 0.2272], [0.0000, 0.0000, 0.5000], [0.0000, 0.5000, 0.0000], [0.5000, 0.0000, 0.0000], [0.5000, 0.5000, 0.5000]]
}


Record 12
{
  "formula": "EuAl2Ge",
  "functional": "r²SCAN",
  "state": "optimized geometry",
  "lattice": [[7.2291, 0.0000, 0.0000], [0.0000, 4.2785, 0.0000], [0.0000, 0.0000, 11.1920]],
  "species": ["Eu", "Eu", "Eu", "Eu", "Al", "Al", "Al", "Al", "Al", "Al", "Al", "Al", "Ge", "Ge", "Ge", "Ge"],
  "fractional_positions": [[0.1452, 0.2500, 0.1395], [0.3548, 0.7500, 0.6395], [0.6452, 0.2500, 0.3605], [0.8548, 0.7500, 0.8605], [0.0276, 0.2500, 0.6563], [0.1499, 0.2500, 0.4369], [0.3501, 0.7500, 0.9369], [0.4724, 0.7500, 0.1563], [0.5276, 0.2500, 0.8437], [0.6499, 0.2500, 0.0631], [0.8501, 0.7500, 0.5631], [0.9724, 0.7500, 0.3437], [0.1733, 0.2500, 0.8584], [0.3267, 0.7500, 0.3584], [0.6733, 0.2500, 0.6416], [0.8267, 0.7500, 0.1416]]
}


Record 13
{
  "formula": "EuAl2Ge2",
  "functional": "r²SCAN",
  "state": "optimized geometry",
  "lattice": [[4.2180, 0.0000, 0.0000], [-2.1090, 3.6529, 0.0000], [0.0000, 0.0000, 7.1965]],
  "species": ["Eu", "Al", "Al", "Ge", "Ge"],
  "fractional_positions": [[0.0000, 0.0000, 0.0000], [0.3333, 0.6667, 0.6282], [0.6667, 0.3333, 0.3718], [0.3333, 0.6667, 0.2669], [0.6667, 0.3333, 0.7331]]
}


Record 14
{
  "formula": "EuAlGe",
  "functional": "r²SCAN",
  "state": "optimized geometry",
  "lattice": [[-2.1697, 2.1697, 7.4223], [2.1697, -2.1697, 7.4223], [2.1697, 2.1697, -7.4223]],
  "species": ["Eu", "Eu", "Al", "Al", "Ge", "Ge"],
  "fractional_positions": [[0.0000, 0.0000, 0.0000], [0.7500, 0.2500, 0.5000], [0.3327, 0.8327, 0.5000], [0.5827, 0.5827, 0.0000], [0.1667, 0.6667, 0.5000], [0.4167, 0.4167, 0.0000]]
}


Record 15
{
  "formula": "LaEuAl4",
  "functional": "r²SCAN",
  "state": "optimized geometry",
  "lattice": [[0.0000, 4.0424, 4.0424], [4.0424, 0.0000, 4.0424], [4.0424, 4.0424, 0.0000]],
  "species": ["La", "Eu", "Al", "Al", "Al", "Al"],
  "fractional_positions": [[0.0000, 0.0000, 0.0000], [0.7500, 0.7500, 0.7500], [0.3750, 0.3750, 0.3750], [0.3750, 0.3750, 0.8749], [0.3750, 0.8749, 0.3750], [0.8749, 0.3750, 0.3750]]
}


| no. | VASP energy (eV per atom) |
| --- | --- |
| 1 | -21.4423 |
| 2 | -21.5592 |
| 3 | -15.6852 |
| 4 | -12.2620 |
| 5 | -19.1892 |
| 6 | -13.2995 |
| 7 | -17.3574 |
| 8 | -14.1048 |
| 9 | -21.2927 |
| 10 | -13.4086 |
| 11 | -11.8523 |
| 12 | -16.9682 |
| 13 | -16.4631 |
| 14 | -20.3267 |
| 15 | -16.3618 |